1.
Computed, not measured: an optimized crystal structure of BiSb at the PBE level of DFT.

## Properties
- Formation enthalpy at 0 K: -19.5 kJ/mol of formula units
- SG: No. 160

```
BiSb
1.0
4.154 -2.250 0.000
4.154 2.250 0.000
2.935 0.000 3.701
Sb Bi
1 1
direct
0.232 0.232 0.232
0.768 0.768 0.768
```



2.
Computed, not measured: an optimized crystal structure of Bi3Sb at the PBE level of DFT.

## Properties
- Formation enthalpy at 0 K: -22.1 kJ/mol of formula units
- SG: No. 160

```
Bi3Sb
1.0
8.060 -2.279 0.000
8.060 2.279 0.000
7.416 0.000 3.894
Sb Bi
1 3
direct
0.616 0.616 0.616
0.381 0.381 0.381
0.886 0.886 0.886
0.116 0.116 0.116
```



3.
Computed, not measured: an optimized crystal structure of BiSbSe3 at the PBE level of DFT.

## Properties
- Formation enthalpy at 0 K: -284.2 kJ/mol of formula units
- SG: No. 62

```
BiSbSe3
1.0
-1.214 2.460 3.065
-11.088 -2.805 -2.141
0.864 -9.492 7.959
Bi Se Sb
4 12 4
direct
0.750 0.832 0.484
0.750 0.668 0.984
0.250 0.332 0.016
0.250 0.168 0.516
0.250 0.552 0.873
0.750 0.052 0.627
0.250 0.309 0.708
0.250 0.191 0.208
0.750 0.369 0.449
0.250 0.869 0.051
0.250 0.948 0.373
0.750 0.131 0.949
0.750 0.691 0.292
0.750 0.448 0.127
0.250 0.631 0.551
0.750 0.809 0.792
0.750 0.458 0.645
0.250 0.958 0.855
0.250 0.542 0.355
0.750 0.042 0.145
```



4.
Computed, not measured: an optimized crystal structure of Bi2Sb2Te3Se3 at the PBE level of DFT.

## Properties
- Formation enthalpy at 0 K: -390.9 kJ/mol of formula units
- SG: No. 160

```
Bi2Sb2Te3Se3
1.0
20.418 -2.128 0.000
20.418 2.128 0.000
20.196 0.000 3.679
Te Bi Se Sb
3 2 3 2
direct
0.109 0.109 0.109
0.393 0.393 0.393
0.607 0.607 0.607
0.199 0.199 0.199
0.696 0.696 0.696
0.501 0.501 0.501
0.890 0.890 0.890
0.999 0.999 0.999
0.302 0.302 0.302
0.805 0.805 0.805
```



5.
Computed, not measured: an optimized crystal structure of Sr3BiSb at the PBE level of DFT.

## Properties
- Formation enthalpy at 0 K: -322.9 kJ/mol of formula units
- SG: No. 221
- ΔE to the lowest computed polymorph: 0.00 kcal/mol of atoms

```
Sr3BiSb
1.0
6.164 0.000 0.000
0.000 6.164 0.000
0.000 0.000 6.164
Sb Sr Bi
1 3 1
direct
0.500 0.500 0.500
0.500 0.500 0.000
0.500 0.000 0.500
0.000 0.500 0.500
0.000 0.000 0.000
```



6.
Computed, not measured: an optimized crystal structure of Sr3BiSb at the PBE level of DFT.

## Properties
- Formation enthalpy at 0 K: -251.6 kJ/mol of formula units
- SG: No. 221
- ΔE to the lowest computed polymorph: 3.41 kcal/mol of atoms

```
Sr3BiSb
1.0
-1.217 0.393 -6.084
-2.659 -5.617 0.169
-5.486 2.635 1.268
Sr Sb Bi
3 1 1
direct
0.000 0.500 0.500
0.500 0.000 0.500
0.500 0.500 0.000
0.000 0.000 0.000
0.500 0.500 0.500
```



7.
Computed, not measured: an optimized crystal structure of BiSbTe3 at the PBE level of DFT.

## Properties
- Formation enthalpy at 0 K: -208.3 kJ/mol of formula units
- SG: No. 160

```
BiSbTe3
1.0
10.445 -2.194 0.000
10.445 2.194 0.000
9.984 0.000 3.772
Sb Te Bi
1 3 1
direct
0.399 0.399 0.399
0.002 0.002 0.002
0.212 0.212 0.212
0.786 0.786 0.786
0.602 0.602 0.602
```



8.
Computed, not measured: an optimized crystal structure of ScBi3 at the PBE level of DFT.

## Properties
- Formation enthalpy at 0 K: -60.5 kJ/mol of formula units
- SG: No. 139

```
ScBi3
1.0
-2.315 2.315 5.411
2.315 -2.315 5.411
2.315 2.315 -5.411
Bi Sc
3 1
direct
0.250 0.750 0.500
0.750 0.250 0.500
0.500 0.500 0.000
0.000 0.000 0.000
```



9.
Computed, not measured: an optimized crystal structure of Sc5Bi3 at the PBE level of DFT.

## Properties
- Formation enthalpy at 0 K: -462.2 kJ/mol of formula units
- SG: No. 62

```
Sc5Bi3
1.0
-6.319 4.637 -0.389
-4.236 -6.187 -4.955
-4.081 -4.770 9.444
Sc Bi
20 12
direct
0.806 0.936 0.064
0.806 0.564 0.064
0.694 0.564 0.564
0.194 0.436 0.936
0.841 0.750 0.787
0.823 0.250 0.769
0.677 0.250 0.269
0.323 0.750 0.731
0.021 0.750 0.506
0.306 0.436 0.436
0.306 0.064 0.436
0.341 0.250 0.713
0.521 0.250 0.994
0.659 0.750 0.287
0.979 0.250 0.494
0.177 0.750 0.231
0.159 0.250 0.213
0.194 0.064 0.936
0.479 0.750 0.006
0.694 0.936 0.564
0.436 0.010 0.176
0.564 0.510 0.824
0.936 0.510 0.324
0.064 0.490 0.676
0.564 0.990 0.824
0.936 0.990 0.324
0.402 0.750 0.475
0.598 0.250 0.525
0.064 0.010 0.676
0.902 0.250 0.025
0.436 0.490 0.176
0.098 0.750 0.975
```



10.
Computed, not measured: an optimized crystal structure of Bi3Se4 at the PBE level of DFT.

## Properties
- Formation enthalpy at 0 K: -408.7 kJ/mol of formula units
- SG: No. 166

```
Bi3Se4
1.0
-3.272 -5.108 12.134
-1.767 -8.704 10.254
0.974 -5.946 12.154
Se Bi
4 3
direct
0.708 0.708 0.708
0.128 0.128 0.128
0.292 0.292 0.292
0.872 0.872 0.872
0.000 0.000 0.000
0.574 0.574 0.574
0.426 0.426 0.426
```



11.
Computed, not measured: an optimized crystal structure of Bi4Se3 at the PBE level of DFT.

## Properties
- Formation enthalpy at 0 K: -318.9 kJ/mol of formula units
- SG: No. 166

```
Bi4Se3
1.0
13.670 -2.164 0.000
13.670 2.164 0.000
13.327 0.000 3.733
Se Bi
3 4
direct
0.584 0.584 0.584
0.000 0.000 0.000
0.416 0.416 0.416
0.855 0.855 0.855
0.288 0.288 0.288
0.712 0.712 0.712
0.145 0.145 0.145
```



12.
Computed, not measured: an optimized crystal structure of BiSe2 at the PBE level of DFT.

## Properties
- Formation enthalpy at 0 K: -173.6 kJ/mol of formula units
- SG: No. 12

```
BiSe2
1.0
3.740 0.828 -1.826
5.367 1.442 6.714
4.500 -9.000 0.205
Se Bi
8 4
direct
0.656 0.527 0.162
0.085 0.372 0.458
0.963 0.132 0.943
0.037 0.868 0.057
0.915 0.628 0.542
0.790 0.075 0.344
0.344 0.473 0.838
0.210 0.925 0.656
0.301 0.305 0.092
0.612 0.173 0.603
0.388 0.827 0.397
0.699 0.695 0.908
```



13.
Computed, not measured: an optimized crystal structure of Bi2TeSe2 at the PBE level of DFT.

## Properties
- Formation enthalpy at 0 K: -255.6 kJ/mol of formula units
- SG: No. 160

```
Bi2TeSe2
1.0
10.212 -2.140 0.000
10.212 2.140 0.000
9.763 0.000 3.679
Bi Te Se
2 1 2
direct
0.395 0.395 0.395
0.602 0.602 0.602
0.787 0.787 0.787
0.998 0.998 0.998
0.218 0.218 0.218
```



14.
Computed, not measured: an optimized crystal structure of Bi2TeSe2 at the PBE level of DFT.

## Properties
- Formation enthalpy at 0 K: -238.8 kJ/mol of formula units
- SG: No. 166

```
Bi2TeSe2
1.0
0.430 2.139 -3.679
0.430 -2.139 -3.679
-10.207 0.000 -3.679
Se Te Bi
2 1 2
direct
0.218 0.218 0.345
0.782 0.782 0.655
0.000 0.000 0.000
0.599 0.599 0.202
0.401 0.401 0.798
```



15.
Computed, not measured: an optimized crystal structure of Bi4Te3Se3 at the PBE level of DFT.

## Properties
- Formation enthalpy at 0 K: -441.1 kJ/mol of formula units
- SG: No. 8
- ΔE to the lowest computed polymorph: 0.08 kcal/mol of atoms

```
Bi4Te3Se3
1.0
2.156 10.429 0.000
-2.156 10.429 0.000
0.000 0.878 7.418
Te Bi Se
3 4 3
direct
0.179 0.179 0.609
0.324 0.324 0.894
0.823 0.823 0.389
0.593 0.593 0.808
0.092 0.092 0.298
0.909 0.909 0.696
0.411 0.411 0.197
0.666 0.666 0.111
0.000 0.000 0.999
0.503 0.503 0.499
```



16.
Computed, not measured: an optimized crystal structure of Bi4Te3Se3 at the PBE level of DFT.

## Properties
- Formation enthalpy at 0 K: -444.3 kJ/mol of formula units
- SG: No. 160
- ΔE to the lowest computed polymorph: 0.00 kcal/mol of atoms

```
Bi4Te3Se3
1.0
-13.764 0.723 15.603
-16.681 0.698 12.437
-15.138 -3.016 13.971
Se Bi Te
3 4 3
direct
0.890 0.890 0.890
0.999 0.999 0.999
0.502 0.502 0.502
0.696 0.696 0.696
0.199 0.199 0.199
0.302 0.302 0.302
0.805 0.805 0.805
0.109 0.109 0.109
0.607 0.607 0.607
0.392 0.392 0.392
```



17.
Computed, not measured: an optimized crystal structure of Bi2Te2Se at the PBE level of DFT.

## Properties
- Formation enthalpy at 0 K: -191.3 kJ/mol of formula units
- SG: No. 166

```
Bi2Te2Se
1.0
-1.038 8.954 6.383
0.603 6.081 9.201
3.252 8.280 6.547
Te Se Bi
2 1 2
direct
0.221 0.221 0.221
0.779 0.779 0.779
0.000 0.000 0.000
0.609 0.609 0.609
0.391 0.391 0.391
```



18.
Computed, not measured: an optimized crystal structure of Tl2Bi2Te3Se at the PBE level of DFT.

## Properties
- Formation enthalpy at 0 K: -247.8 kJ/mol of formula units
- SG: No. 44

```
Tl2Bi2Te3Se
1.0
-3.189 3.223 6.578
3.189 -3.223 6.578
3.189 3.223 -6.578
Se Tl Te Bi
1 2 3 2
direct
0.985 0.985 0.000
0.240 0.240 0.000
0.500 0.000 0.500
0.760 0.260 0.500
0.515 0.515 0.000
0.239 0.739 0.500
0.761 0.761 0.000
0.997 0.497 0.500
```



19.
Computed, not measured: an optimized crystal structure of TlBiSe2 at the PBE level of DFT.

## Properties
- Formation enthalpy at 0 K: -264.8 kJ/mol of formula units
- SG: No. 166

```
TlBiSe2
1.0
7.738 -2.157 0.000
7.738 2.157 0.000
7.136 0.000 3.688
Se Bi Tl
2 1 1
direct
0.739 0.739 0.739
0.261 0.261 0.261
0.000 0.000 0.000
0.500 0.500 0.500
```



20.
Computed, not measured: an optimized crystal structure of TlBiSe2 at the PBE level of DFT.

## Properties
- Formation enthalpy at 0 K: -187.8 kJ/mol of formula units
- SG: No. 123

```
TlBiSe2
1.0
4.372 0.000 0.000
0.000 4.372 0.000
0.000 0.000 43.201
Bi Tl Se
7 7 14
direct
0.000 0.000 0.720
0.000 0.000 0.280
0.500 0.500 0.356
0.000 0.000 0.428
0.000 0.000 0.572
0.500 0.500 0.500
0.500 0.500 0.644
0.500 0.500 0.210
0.500 0.500 0.071
0.000 0.000 0.000
0.000 0.000 0.140
0.000 0.000 0.860
0.500 0.500 0.929
0.500 0.500 0.790
0.000 0.000 0.500
0.000 0.000 0.220
0.500 0.500 0.710
0.000 0.000 0.780
0.000 0.000 0.073
0.000 0.000 0.927
0.500 0.500 0.000
0.500 0.500 0.857
0.500 0.500 0.290
0.000 0.000 0.361
0.000 0.000 0.639
0.500 0.500 0.570
0.500 0.500 0.430
0.500 0.500 0.143
```



21.
Computed, not measured: an optimized crystal structure of TlBiSe2 at the PBE level of DFT.

## Properties
- Formation enthalpy at 0 K: -200.0 kJ/mol of formula units
- SG: No. 123

```
TlBiSe2
1.0
4.350 0.000 0.000
0.000 4.350 0.000
0.000 0.000 6.126
Se Tl Bi
2 1 1
direct
0.500 0.500 0.000
0.000 0.000 0.500
0.000 0.000 0.000
0.500 0.500 0.500
```



22.
Computed, not measured: an optimized crystal structure of SiBi3 at the PBE level of DFT.

## Properties
- Formation enthalpy at 0 K: 167.5 kJ/mol of formula units
- SG: No. 225

```
SiBi3
1.0
5.105 -1.051 -1.442
1.646 -5.118 -0.580
1.070 -1.954 -4.927
Si Bi
1 3
direct
0.000 0.000 0.000
0.500 0.500 0.500
0.750 0.750 0.750
0.250 0.250 0.250
```



23.
Computed, not measured: an optimized crystal structure of Sm4Bi3 at the PBE level of DFT.

## Properties
- Formation enthalpy at 0 K: -542.2 kJ/mol of formula units
- SG: No. 220

```
Sm4Bi3
1.0
3.765 0.530 7.375
-2.079 7.601 -2.596
-6.838 -4.646 0.713
Bi Sm
6 8
direct
0.875 0.250 0.125
0.125 0.875 0.250
0.625 0.750 0.375
0.250 0.125 0.875
0.750 0.375 0.625
0.375 0.625 0.750
0.500 0.000 0.644
0.500 0.000 0.144
0.644 0.500 0.000
0.000 0.644 0.500
0.856 0.856 0.856
0.356 0.356 0.356
0.144 0.500 0.000
0.000 0.144 0.500
```